(1)
Computed, not measured: an optimized crystal structure of Na5Mn11O24 at the GGA+U level of DFT.

Calculated values
MP2020-corrected energy: -299.4 eV for the cell shown
Calculated total energy: -6.613 eV/atom
Formation enthalpy at 0 K: -1.8307 eV/atom

POSCAR file:
```
Na5Mn11O24
1.0
5.3521 -3.0014 0.0000
5.3521 3.0014 0.0000
-0.8341 0.0000 14.8202
Na Mn O
5 11 24
direct
0.0000 0.0000 0.0000 Na
0.0071 0.0071 0.7527 Na
0.3300 0.3300 0.4194 Na
0.3545 0.3545 0.6801 Na
0.6541 0.6541 0.0746 Na
0.0034 0.5034 0.8767 Mn
0.0037 0.0037 0.3744 Mn
0.1657 0.6649 0.2124 Mn
0.1670 0.1670 0.2148 Mn
0.3216 0.3216 0.0442 Mn
0.3455 0.8407 0.5397 Mn
0.5034 0.0034 0.8767 Mn
0.6649 0.1657 0.2124 Mn
0.6861 0.6861 0.7093 Mn
0.8399 0.8399 0.5369 Mn
0.8407 0.3455 0.5397 Mn
0.0111 0.0111 0.6037 O
0.0415 0.4684 0.1402 O
0.1435 0.1435 0.4653 O
0.1477 0.7250 0.4626 O
0.1490 0.6029 0.9755 O
0.1842 0.1842 0.9485 O
0.2851 0.8590 0.2911 O
0.3257 0.3257 0.8219 O
0.3396 0.3396 0.2771 O
0.4045 0.8581 0.7768 O
0.4663 0.4663 0.1365 O
0.4684 0.0415 0.1402 O
0.5386 0.9684 0.6107 O
0.5413 0.5413 0.6149 O
0.6029 0.1490 0.9755 O
0.6682 0.6682 0.4718 O
0.6809 0.6809 0.9314 O
0.7250 0.1477 0.4626 O
0.8226 0.8226 0.8044 O
0.8581 0.4045 0.7768 O
0.8590 0.2851 0.2911 O
0.8621 0.8621 0.2878 O
0.9684 0.5386 0.6107 O
0.9965 0.9965 0.1489 O
```

=====

(2)
Computed, not measured: an optimized crystal structure of Ca2SmYMn4O12 at the GGA+U level of DFT.

Calculated values
MP2020-corrected energy: -166.6 eV for the cell shown
Calculated total energy: -7.583 eV/atom
Formation enthalpy at 0 K: -2.7677 eV/atom

POSCAR file:
```
Ca2SmYMn4O12
1.0
5.4066 0.0000 0.0000
0.0000 7.6161 0.0000
-0.0179 0.0000 5.5424
Ca Sm Y Mn O
2 1 1 4 12
direct
0.0000 0.0000 0.0000 Ca
0.4999 0.5000 0.4071 Ca
0.9741 0.5000 0.9004 Sm
0.4723 0.0000 0.5104 Y
0.4889 0.2486 0.9563 Mn
0.4889 0.7514 0.9563 Mn
0.9880 0.2486 0.4503 Mn
0.9880 0.7514 0.4503 Mn
0.0742 0.5000 0.4775 O
0.2031 0.2013 0.7381 O
0.2031 0.7987 0.7381 O
0.2849 0.1988 0.2489 O
0.2849 0.8012 0.2489 O
0.3984 0.5000 0.9770 O
0.5760 0.0000 0.9193 O
0.7021 0.2955 0.6661 O
0.7021 0.7045 0.6661 O
0.7834 0.2956 0.1598 O
0.7834 0.7044 0.1598 O
0.8871 0.0000 0.4286 O
```

=====

(3)
Computed, not measured: an optimized crystal structure of Fe2O3 at the GGA+U level of DFT.

Calculated values
MP2020-corrected energy: -78.3 eV for the cell shown
Calculated total energy: -6.513 eV/atom
Formation enthalpy at 0 K: -1.4706 eV/atom

POSCAR file:
```
Fe2O3
1.0
1.4362 -4.7637 0.0000
1.4362 4.7637 0.0000
0.0000 0.0000 7.3118
Fe O
4 6
direct
0.0000 0.0000 0.0000 Fe
0.0000 0.0000 0.5000 Fe
0.2489 0.7511 0.7500 Fe
0.7511 0.2489 0.2500 Fe
0.1028 0.8972 0.2500 O
0.3610 0.6390 0.0753 O
0.3610 0.6390 0.4247 O
0.6390 0.3610 0.5753 O
0.6390 0.3610 0.9247 O
0.8972 0.1028 0.7500 O
```

=====

(4)
Computed, not measured: an optimized crystal structure of CaFeO2 at the GGA+U level of DFT.

Calculated values
MP2020-corrected energy: -117.6 eV for the cell shown
Calculated total energy: -6.444 eV/atom
Formation enthalpy at 0 K: -2.2582 eV/atom

POSCAR file:
```
CaFeO2
1.0
3.3269 0.0000 0.0000
0.8349 8.2163 0.0000
0.0978 0.7027 8.7712
Ca Fe O
4 4 8
direct
0.1294 0.3999 0.2715 Ca
0.1858 0.1977 0.9611 Ca
0.8142 0.8023 0.0389 Ca
0.8706 0.6001 0.7285 Ca
0.3166 0.9149 0.7310 Fe
0.3450 0.7600 0.3613 Fe
0.6550 0.2400 0.6387 Fe
0.6834 0.0851 0.2690 Fe
0.1534 0.3406 0.7246 O
0.2484 0.9656 0.1783 O
0.3199 0.7508 0.5814 O
0.3391 0.7056 0.8931 O
0.6609 0.2944 0.1069 O
0.6801 0.2492 0.4186 O
0.7516 0.0344 0.8217 O
0.8466 0.6594 0.2754 O
```

=====

(5)
Computed, not measured: an optimized crystal structure of MgVBr2O at the GGA+U level of DFT.

Calculated values
MP2020-corrected energy: -25.1 eV for the cell shown
Offset from the most stable computed form: 35.1 kJ/mol of atoms
Calculated total energy: -4.541 eV/atom
Formation enthalpy at 0 K: -1.2374 eV/atom

POSCAR file:
```
MgVBr2O
1.0
3.7440 0.0000 0.0000
-0.0015 4.1704 0.0000
-1.8701 -2.0594 9.0920
Mg V Br O
1 1 2 1
direct
0.0000 0.0000 0.0000 Mg
0.7591 0.7487 0.5081 V
0.5917 0.0909 0.1829 Br
0.9259 0.4221 0.8423 Br
0.2689 0.7657 0.5274 O
```

=====

(6)
Computed, not measured: an optimized crystal structure of KMnSn3O8 at the GGA+U level of DFT.

Calculated values
MP2020-corrected energy: -177.8 eV for the cell shown
Offset from the most stable computed form: 0.3 kJ/mol of atoms
Calculated total energy: -6.288 eV/atom
Formation enthalpy at 0 K: -2.0791 eV/atom

POSCAR file:
```
KMnSn3O8
1.0
10.5125 0.0000 0.0000
0.0000 3.2316 0.0000
-10.3345 0.0000 10.5646
K Mn Sn O
2 2 6 16
direct
0.0000 0.2404 0.0000 K
0.0000 0.7596 0.5000 K
0.8253 0.2534 0.6762 Mn
0.8253 0.7466 0.1762 Mn
0.1787 0.2699 0.3392 Sn
0.1787 0.7301 0.8392 Sn
0.5015 0.2535 0.1627 Sn
0.5015 0.7465 0.6627 Sn
0.5297 0.2316 0.8685 Sn
0.5297 0.7684 0.3685 Sn
0.0510 0.2276 0.7091 O
0.0510 0.7724 0.2091 O
0.2998 0.2316 0.9681 O
0.2998 0.7684 0.4681 O
0.3709 0.2426 0.6686 O
0.3709 0.7574 0.1686 O
0.3801 0.2702 0.3432 O
0.3801 0.7298 0.8432 O
0.6359 0.2481 0.6763 O
0.6359 0.7519 0.1763 O
0.6578 0.2659 0.3607 O
0.6578 0.7341 0.8607 O
0.7179 0.2108 0.0579 O
0.7179 0.7892 0.5579 O
0.9564 0.3193 0.3099 O
0.9564 0.6807 0.8099 O
```

=====

(7)
Computed, not measured: an optimized crystal structure of LiV3Te2O12 at the GGA+U level of DFT.

Calculated values
MP2020-corrected energy: -264.1 eV for the cell shown
Calculated total energy: -6.593 eV/atom
Formation enthalpy at 0 K: -2.0668 eV/atom

POSCAR file:
```
LiV3Te2O12
1.0
6.3019 0.0000 0.0000
-1.8632 7.0028 0.0000
-0.6101 -0.4403 10.7798
Li V Te O
2 6 4 24
direct
0.2101 0.2253 0.3910 Li
0.7899 0.7747 0.6090 Li
0.3407 0.7888 0.7452 V
0.3812 0.7708 0.4158 V
0.3819 0.8060 0.0786 V
0.6181 0.1940 0.9214 V
0.6188 0.2292 0.5842 V
0.6593 0.2112 0.2548 V
0.1423 0.1828 0.7121 Te
0.1665 0.2154 0.0923 Te
0.8335 0.7846 0.9077 Te
0.8577 0.8172 0.2879 Te
0.0917 0.9056 0.7144 O
0.1423 0.8736 0.3827 O
0.1469 0.9416 0.0948 O
0.1815 0.5722 0.7439 O
0.2097 0.5936 0.0754 O
0.2673 0.5423 0.4052 O
0.2999 0.2232 0.5654 O
0.3555 0.2657 0.9576 O
0.3742 0.2690 0.2330 O
0.3795 0.8814 0.9083 O
0.4152 0.8389 0.5809 O
0.4819 0.8429 0.2458 O
0.5181 0.1571 0.7542 O
0.5848 0.1611 0.4191 O
0.6205 0.1186 0.0917 O
0.6258 0.7310 0.7670 O
0.6445 0.7343 0.0424 O
0.7001 0.7768 0.4346 O
0.7327 0.4577 0.5948 O
0.7903 0.4064 0.9246 O
0.8185 0.4278 0.2561 O
0.8531 0.0584 0.9052 O
0.8577 0.1264 0.6173 O
0.9083 0.0944 0.2856 O
```

=====

(8)
Computed, not measured: an optimized crystal structure of Li4CuNi3P4O16 at the GGA+U level of DFT.

Calculated values
MP2020-corrected energy: -194.7 eV for the cell shown
Calculated total energy: -6.290 eV/atom
Formation enthalpy at 0 K: -2.3152 eV/atom

POSCAR file:
```
Li4CuNi3P4O16
1.0
4.7245 0.0000 0.0000
0.0000 5.9621 0.0000
-0.1377 0.0000 10.0628
Li Cu Ni P O
4 1 3 4 16
direct
0.0000 0.2481 0.0000 Li
0.0000 0.7519 0.0000 Li
0.4964 0.2497 0.4974 Li
0.4964 0.7503 0.4974 Li
0.5457 0.5000 0.2171 Cu
0.0183 0.0000 0.2778 Ni
0.4790 0.0000 0.7744 Ni
0.9779 0.5000 0.7231 Ni
0.0829 0.5000 0.4033 P
0.4190 0.5000 0.9054 P
0.5808 0.0000 0.0932 P
0.9132 0.0000 0.5943 P
0.1954 0.5000 0.5494 O
0.2167 0.2906 0.3364 O
0.2167 0.7094 0.3364 O
0.2374 0.0000 0.6004 O
0.2576 0.0000 0.0981 O
0.2744 0.2940 0.8355 O
0.2744 0.7060 0.8355 O
0.3084 0.5000 0.0512 O
0.6985 0.0000 0.9501 O
0.7260 0.2036 0.1656 O
0.7260 0.7964 0.1656 O
0.7428 0.5000 0.9006 O
0.7539 0.5000 0.3956 O
0.7733 0.2060 0.6657 O
0.7733 0.7940 0.6657 O
0.7930 0.0000 0.4506 O
```

=====

(9)
Computed, not measured: an optimized crystal structure of Li3V3P8O29 at the GGA+U level of DFT.

Calculated values
MP2020-corrected energy: -656.5 eV for the cell shown
Offset from the most stable computed form: 1.0 kJ/mol of atoms
Calculated total energy: -7.052 eV/atom
Formation enthalpy at 0 K: -2.5226 eV/atom

POSCAR file:
```
Li3V3P8O29
1.0
9.7740 0.0000 0.0000
4.8833 8.4752 0.0000
0.1878 -0.0714 14.5016
Li V P O
6 6 16 58
direct
0.0000 0.0000 0.0000 Li
0.0025 0.1380 0.4948 Li
0.3829 0.6173 0.4929 Li
0.5224 0.9920 0.4859 Li
0.5351 0.5959 0.0008 Li
0.5948 0.8437 0.8873 Li
0.3040 0.4815 0.6943 V
0.3070 0.3475 0.1837 V
0.7364 0.9208 0.6881 V
0.7394 0.4835 0.1939 V
0.8728 0.9145 0.1911 V
0.8736 0.3512 0.6899 V
0.0777 0.2303 0.1039 P
0.0798 0.8278 0.6064 P
0.2204 0.6904 0.1034 P
0.2225 0.2298 0.6027 P
0.3862 0.1454 0.7838 P
0.3883 0.5980 0.2808 P
0.5300 0.0079 0.2750 P
0.5352 0.5984 0.7812 P
0.6190 0.6890 0.6028 P
0.6264 0.8246 0.0997 P
0.6383 0.2517 0.5732 P
0.6437 0.2503 0.0710 P
0.9637 0.5889 0.8053 P
0.9738 0.5816 0.3054 P
0.9832 0.0065 0.7823 P
0.9856 0.1463 0.2812 P
0.0404 0.9408 0.8743 O
0.0494 0.1505 0.3723 O
0.0489 0.8336 0.1013 O
0.0506 0.2576 0.6022 O
0.0721 0.9265 0.5271 O
0.0746 0.1389 0.0238 O
0.1027 0.1326 0.1993 O
0.1038 0.8972 0.7026 O
0.1155 0.5851 0.7629 O
0.1207 0.4390 0.2600 O
0.2136 0.3913 0.6202 O
0.2139 0.5358 0.1142 O
0.2183 0.2617 0.1048 O
0.2237 0.6579 0.6036 O
0.2866 0.7166 0.1999 O
0.2975 0.1285 0.6949 O
0.3090 0.1476 0.8714 O
0.3154 0.1428 0.5204 O
0.3172 0.6907 0.0239 O
0.3192 0.6653 0.3723 O
0.3858 0.1751 0.2660 O
0.3899 0.5765 0.7709 O
0.3959 0.2993 0.7624 O
0.3972 0.4391 0.2590 O
0.4892 0.4003 0.6156 O
0.4924 0.2525 0.1143 O
0.5153 0.9133 0.1883 O
0.5215 0.7149 0.6992 O
0.5270 0.6850 0.5239 O
0.5375 0.9296 0.3637 O
0.5440 0.6684 0.8707 O
0.5544 0.9020 0.0114 O
0.5570 0.5756 0.2664 O
0.5578 0.9995 0.7733 O
0.6367 0.1015 0.6163 O
0.6377 0.2435 0.4712 O
0.6409 0.4009 0.1121 O
0.6417 0.2559 0.9685 O
0.6441 0.8345 0.6013 O
0.6478 0.6560 0.1045 O
0.6839 0.0166 0.2564 O
0.6868 0.4373 0.7603 O
0.7798 0.5353 0.6169 O
0.7852 0.8185 0.1188 O
0.7888 0.2509 0.6112 O
0.7919 0.0984 0.1094 O
0.8142 0.7372 0.7635 O
0.8226 0.0164 0.7581 O
0.8239 0.2979 0.2615 O
0.8246 0.5799 0.2630 O
0.9235 0.3908 0.1194 O
0.9246 0.8198 0.6205 O
0.9546 0.5908 0.9070 O
0.9631 0.0014 0.2667 O
0.9639 0.1721 0.7642 O
0.9657 0.4400 0.7599 O
0.9670 0.7348 0.2618 O
0.9678 0.5867 0.4072 O
```

=====

(10)
Computed, not measured: an optimized crystal structure of CoO at the GGA+U level of DFT.

Calculated values
MP2020-corrected energy: -555.5 eV for the cell shown
Calculated total energy: -5.781 eV/atom
Formation enthalpy at 0 K: -0.9156 eV/atom

POSCAR file:
```
CoO
1.0
10.0154 0.0000 0.0000
0.9363 10.0375 0.0000
0.4473 -0.0415 10.1694
Co O
40 40
direct
0.0000 0.0000 0.0000 Co
0.0017 0.0241 0.4022 Co
0.0140 0.0368 0.7292 Co
0.0708 0.5901 0.1742 Co
0.0785 0.7239 0.7695 Co
0.0963 0.3094 0.2841 Co
0.1001 0.5680 0.5037 Co
0.1588 0.2267 0.9147 Co
0.2134 0.0302 0.1917 Co
0.2442 0.1166 0.4844 Co
0.2609 0.7841 0.3772 Co
0.2676 0.6158 0.9614 Co
0.2937 0.4558 0.7533 Co
0.2971 0.9392 0.7801 Co
0.3068 0.3339 0.1570 Co
0.3869 0.3873 0.4441 Co
0.3908 0.6642 0.6046 Co
0.4628 0.1782 0.7022 Co
0.4943 0.5493 0.1413 Co
0.5058 0.3327 0.9082 Co
0.5061 0.8925 0.5929 Co
0.5065 0.1510 0.1590 Co
0.5371 0.6909 0.8447 Co
0.5751 0.8788 0.1784 Co
0.5913 0.9877 0.9040 Co
0.6000 0.4474 0.6401 Co
0.6027 0.6708 0.3674 Co
0.6511 0.3625 0.3745 Co
0.6602 0.1219 0.4765 Co
0.7728 0.6716 0.0255 Co
0.7849 0.0915 0.2075 Co
0.7863 0.6293 0.6076 Co
0.7924 0.8664 0.4586 Co
0.7928 0.9019 0.7525 Co
0.8087 0.1812 0.8587 Co
0.8716 0.4963 0.3626 Co
0.9047 0.3508 0.0331 Co
0.9201 0.2735 0.5329 Co
0.9388 0.8179 0.2628 Co
0.9600 0.4811 0.8065 Co
0.0216 0.9695 0.1877 O
0.0312 0.4032 0.4443 O
0.0536 0.1264 0.5727 O
0.1024 0.6881 0.3423 O
0.1355 0.5472 0.8582 O
0.1514 0.0377 0.8769 O
0.1653 0.2190 0.1144 O
0.1920 0.9657 0.3805 O
0.2439 0.5218 0.1315 O
0.2650 0.7541 0.7388 O
0.2808 0.2637 0.3551 O
0.2821 0.5139 0.5668 O
0.3273 0.2781 0.8267 O
0.3674 0.0463 0.6150 O
0.4038 0.9967 0.1670 O
0.4286 0.6748 0.0078 O
0.4369 0.7808 0.4465 O
0.4871 0.4929 0.7972 O
0.4889 0.8877 0.7943 O
0.4916 0.3474 0.0945 O
0.5104 0.5012 0.3377 O
0.5346 0.2880 0.5552 O
0.5932 0.6542 0.6285 O
0.6156 0.1955 0.3018 O
0.6200 0.1737 0.8269 O
0.6372 0.6811 0.1695 O
0.6475 0.0239 0.0686 O
0.6896 0.9638 0.5977 O
0.7139 0.7688 0.8790 O
0.7415 0.9134 0.2848 O
0.7661 0.4215 0.5237 O
0.7953 0.6741 0.4159 O
0.8157 0.5037 0.9419 O
0.8449 0.1511 0.4046 O
0.8676 0.1628 0.0430 O
0.9375 0.7030 0.1038 O
0.9578 0.4345 0.1956 O
0.9622 0.8869 0.8313 O
0.9686 0.6154 0.6571 O
0.9753 0.2886 0.8362 O
```